No. 1
Computed, not measured: crystalline Ga2Co21B6 at its relaxed geometry at the PBE-GGA level of DFT.

Structure (POSCAR):
```
Ga2Co21B6
1.0
0.000 5.231 5.231
5.231 0.000 5.231
5.231 5.231 0.000
Ga Co B
2 21 6
Cartesian
2.616 2.616 2.616
7.847 7.847 7.847
0.000 0.000 0.000
1.761 1.761 0.000
3.470 3.470 0.000
1.761 0.000 1.761
5.231 3.470 1.761
3.470 0.000 3.470
5.231 1.761 3.470
6.463 4.000 4.000
0.000 1.761 1.761
3.470 5.231 1.761
3.470 1.761 5.231
4.000 4.000 4.000
6.463 6.463 4.000
6.463 4.000 6.463
4.000 6.463 4.000
4.000 4.000 6.463
6.463 6.463 6.463
0.000 3.470 3.470
1.761 5.231 3.470
1.761 3.470 5.231
4.000 6.463 6.463
5.231 5.231 2.898
5.231 2.898 5.231
7.564 5.231 5.231
2.898 5.231 5.231
5.231 7.564 5.231
5.231 5.231 7.564
```

=====

No. 2
Computed, not measured: crystalline Zn4As2O9 at its relaxed geometry at the PBE-GGA level of DFT.

Structure (POSCAR):
```
Zn4As2O9
1.0
9.893 0.000 0.000
0.000 8.316 0.000
-9.405 0.000 18.283
Zn As O
32 16 72
Cartesian
-0.455 0.716 1.996
-5.158 3.442 11.137
-0.395 4.282 2.788
-5.098 8.192 11.929
-3.066 6.073 10.162
1.637 6.401 1.021
-1.151 0.469 6.971
-5.854 3.689 16.112
-5.823 0.471 16.099
-1.120 3.688 6.957
-3.652 5.679 12.975
1.051 6.795 3.834
-1.747 0.313 11.560
2.956 3.845 2.419
3.019 0.598 2.410
-1.684 3.560 11.551
2.171 4.756 6.732
-2.532 7.718 15.873
-2.469 4.471 15.864
2.234 8.003 6.723
-0.564 1.521 14.449
4.139 2.637 5.307
1.607 4.629 11.325
6.310 7.846 2.184
6.341 4.627 2.171
1.639 7.847 11.312
-1.150 1.915 17.262
3.553 2.243 8.121
5.585 0.124 6.353
0.882 4.034 15.495
5.646 4.875 7.145
0.943 7.600 16.287
-2.199 6.186 4.878
-6.901 6.288 14.019
-7.966 2.063 18.082
-3.263 2.095 8.941
1.177 2.047 4.605
-3.526 2.111 13.746
-4.656 6.160 17.816
0.047 6.314 8.674
0.440 2.002 9.608
5.143 2.156 0.467
4.013 6.205 4.536
-0.689 6.269 13.677
3.751 6.221 9.341
8.453 6.253 0.200
7.389 2.028 4.263
2.686 2.130 13.405
-4.504 6.116 8.770
-9.206 6.358 17.911
-2.532 4.905 5.993
-7.235 7.569 15.134
-7.001 4.797 14.866
-2.298 7.678 5.725
-3.099 0.732 7.895
-7.801 3.426 17.036
-7.611 0.577 17.285
-2.908 3.581 8.144
-6.152 2.071 14.779
-1.450 2.087 5.638
-0.614 5.824 4.270
-5.317 6.650 13.411
-4.555 1.798 12.397
0.147 2.360 3.256
-3.455 4.511 11.392
1.248 7.963 2.251
1.436 5.076 2.483
-3.267 7.399 11.624
-6.321 6.043 18.086
-1.618 6.432 8.945
-2.298 1.924 10.345
2.405 2.234 1.204
0.971 0.441 5.190
-3.732 3.718 14.332
-0.476 2.058 8.151
-5.178 2.100 17.292
-3.588 0.884 14.918
1.115 3.274 5.777
0.354 4.904 7.691
-4.349 7.570 16.832
-4.294 4.773 16.813
0.408 7.701 7.672
-1.894 2.029 13.018
2.809 2.129 3.877
-2.321 6.187 14.406
2.382 6.287 5.264
0.079 0.615 10.610
4.782 3.543 1.469
4.837 0.746 1.451
0.134 3.412 10.592
-0.627 5.042 12.506
4.075 7.432 3.365
5.666 6.216 0.991
0.963 6.258 10.132
4.219 4.599 3.951
-0.483 7.876 13.092
-1.917 6.082 17.079
2.785 6.392 7.937
2.106 1.885 9.338
6.808 2.274 0.196
3.754 0.918 6.658
-0.948 3.241 15.800
-0.760 0.353 16.032
3.942 3.805 6.890
0.340 5.956 15.027
5.043 6.518 5.886
5.804 1.666 4.871
1.101 2.492 14.013
1.937 6.229 12.645
6.640 6.245 3.503
3.396 4.735 10.139
8.098 7.739 0.997
8.289 4.890 1.246
3.586 7.584 10.388
2.786 0.638 12.558
7.488 3.520 3.416
7.722 0.747 3.149
3.020 3.411 12.290
9.694 1.958 0.371
4.991 2.200 9.513
```

=====

No. 3
Computed, not measured: crystalline Nb3Ge at its relaxed geometry at the PBE-GGA level of DFT.

## Properties
Energy above the most stable polymorph in this dataset: 133 meV per atom

Structure (POSCAR):
```
Nb3Ge
1.0
4.115 0.000 0.000
0.000 4.115 0.000
0.000 0.000 4.115
Nb Ge
3 1
Cartesian
0.000 0.000 2.058
0.000 2.058 0.000
2.058 0.000 0.000
2.058 2.058 2.058
```

=====

No. 4
Computed, not measured: crystalline ZnH8SO8 at its relaxed geometry at the PBE-GGA level of DFT.

## Properties
Energy above the most stable polymorph in this dataset: 0 meV per atom

Structure (POSCAR):
```
ZnH8SO8
1.0
6.095 0.000 0.000
0.000 13.613 0.000
-6.058 0.000 7.958
Zn H S O
4 32 4 32
Cartesian
-0.442 1.412 2.231
-3.471 5.395 6.210
3.508 8.218 1.748
0.479 12.201 5.727
-5.601 1.361 7.550
-2.573 5.445 3.571
-4.127 10.005 6.198
-1.098 10.415 2.220
-3.533 2.626 6.184
-0.504 4.180 2.205
1.211 2.530 0.382
-1.817 4.277 4.361
1.218 7.966 0.418
-1.810 12.453 4.397
-0.286 7.024 2.574
-3.315 13.396 6.553
-0.804 7.947 3.766
-3.833 12.473 7.745
1.185 9.336 1.230
-1.844 11.084 5.209
1.881 2.529 2.749
-1.148 4.277 6.728
3.870 1.140 0.213
0.841 5.667 4.192
3.352 0.217 1.404
0.323 6.589 5.383
1.848 1.160 3.561
-1.181 5.647 7.540
1.854 9.336 3.597
-1.174 11.083 7.575
0.541 9.433 5.753
3.570 10.987 1.774
1.135 3.199 5.738
4.164 3.608 1.759
2.610 8.168 4.387
5.638 12.252 0.408
-1.167 1.478 5.437
1.862 5.328 1.458
-1.825 8.285 6.500
1.204 12.135 2.521
-4.154 3.394 6.272
-1.125 3.413 2.293
0.710 1.692 0.490
-2.318 5.114 4.469
-0.819 7.832 2.784
-3.848 12.588 6.763
-2.975 7.493 5.945
0.054 12.926 1.966
-1.496 0.977 4.066
1.533 5.830 0.087
1.749 8.748 0.673
-1.280 11.672 4.652
-2.377 1.277 6.311
0.652 5.529 2.332
-2.193 9.718 6.505
0.836 10.702 2.526
-0.799 2.911 5.432
2.230 3.895 1.453
-0.614 8.084 5.626
2.414 12.336 1.647
1.317 1.941 3.306
-1.712 4.866 7.285
-1.496 7.783 7.871
1.533 12.636 3.892
-0.017 0.687 5.992
3.012 6.120 2.013
3.885 1.026 1.195
0.856 5.781 5.173
2.355 8.499 3.489
-0.673 11.921 7.468
1.162 10.201 5.665
4.191 10.219 1.686
```

=====

no.,final energy (eV/atom),formation energy (eV/atom)
1,-6.938,-0.200
2,-5.282,-1.768
3,-8.917,-0.185
4,-5.173,-1.472